a | ! S (meta-GGA r2SCAN, relaxed); values from VASP
&SYSTEM
  ibrav = 0, nat = 72, ntyp = 1
/
ATOMIC_SPECIES
S 32.06 S.upf
ATOMIC_POSITIONS crystal
S 0.004 0.063 0.433
S 0.011 0.799 0.565
S 0.017 0.324 0.585
S 0.029 0.305 0.736
S 0.033 0.572 0.266
S 0.034 0.590 0.417
S 0.071 0.594 0.671
S 0.071 0.860 0.327
S 0.098 0.209 0.392
S 0.112 0.942 0.607
S 0.135 0.241 0.656
S 0.145 0.507 0.344
S 0.162 0.662 0.590
S 0.162 0.930 0.407
S 0.164 0.961 0.257
S 0.167 0.695 0.740
S 0.182 0.001 0.056
S 0.197 0.734 0.943
S 0.303 0.266 0.443
S 0.318 0.999 0.556
S 0.333 0.305 0.240
S 0.336 0.039 0.757
S 0.338 0.070 0.907
S 0.338 0.338 0.090
S 0.355 0.493 0.844
S 0.365 0.759 0.156
S 0.388 0.058 0.107
S 0.402 0.791 0.892
S 0.429 0.140 0.827
S 0.429 0.406 0.171
S 0.466 0.410 0.917
S 0.467 0.428 0.766
S 0.471 0.695 0.236
S 0.483 0.676 0.085
S 0.489 0.201 0.065
S 0.496 0.937 0.933
S 0.504 0.437 0.567
S 0.511 0.701 0.435
S 0.517 0.176 0.415
S 0.529 0.195 0.264
S 0.533 0.928 0.734
S 0.534 0.910 0.583
S 0.571 0.640 0.673
S 0.571 0.906 0.329
S 0.598 0.291 0.608
S 0.612 0.558 0.393
S 0.635 0.259 0.344
S 0.645 0.993 0.656
S 0.662 0.570 0.593
S 0.662 0.838 0.410
S 0.664 0.539 0.743
S 0.667 0.805 0.260
S 0.682 0.499 0.944
S 0.697 0.766 0.057
S 0.803 0.234 0.557
S 0.818 0.501 0.444
S 0.833 0.195 0.760
S 0.836 0.461 0.243
S 0.838 0.162 0.910
S 0.838 0.430 0.093
S 0.855 0.007 0.156
S 0.865 0.741 0.844
S 0.888 0.442 0.893
S 0.902 0.709 0.108
S 0.929 0.094 0.829
S 0.929 0.360 0.173
S 0.966 0.090 0.083
S 0.967 0.072 0.234
S 0.971 0.805 0.764
S 0.983 0.824 0.915
S 0.989 0.299 0.935
S 0.996 0.563 0.067
CELL_PARAMETERS angstrom
7.759 0.000 0.000
0.000 11.653 0.000
0.000 0.000 21.741
! **Volume**: 1966 Å³ per cell

b | ! S (meta-GGA r2SCAN, relaxed); values from VASP
&SYSTEM
  ibrav = 0, nat = 104, ntyp = 1
/
ATOMIC_SPECIES
S 32.06 S.upf
ATOMIC_POSITIONS crystal
S 0.012 0.176 0.242
S 0.012 0.324 0.742
S 0.049 0.597 0.602
S 0.049 0.903 0.102
S 0.051 0.170 0.760
S 0.051 0.330 0.260
S 0.072 0.593 0.720
S 0.072 0.907 0.220
S 0.076 0.655 0.375
S 0.076 0.845 0.875
S 0.088 0.129 0.564
S 0.088 0.371 0.064
S 0.099 0.092 0.456
S 0.099 0.408 0.956
S 0.142 0.715 0.585
S 0.142 0.785 0.085
S 0.177 0.546 0.970
S 0.177 0.954 0.470
S 0.204 0.142 0.110
S 0.204 0.358 0.610
S 0.227 0.202 0.629
S 0.227 0.298 0.129
S 0.235 0.669 0.387
S 0.235 0.831 0.887
S 0.238 0.104 0.010
S 0.238 0.396 0.510
S 0.262 0.557 0.233
S 0.262 0.943 0.733
S 0.280 0.532 0.351
S 0.280 0.968 0.851
S 0.293 0.657 0.618
S 0.293 0.843 0.118
S 0.314 0.194 0.364
S 0.314 0.306 0.864
S 0.339 0.508 0.999
S 0.339 0.992 0.499
S 0.342 0.061 0.320
S 0.342 0.439 0.820
S 0.358 0.693 0.738
S 0.358 0.807 0.238
S 0.386 0.555 0.912
S 0.386 0.945 0.412
S 0.399 0.076 0.044
S 0.399 0.424 0.544
S 0.407 0.555 0.223
S 0.407 0.945 0.723
S 0.460 0.228 0.919
S 0.460 0.272 0.419
S 0.470 0.214 0.034
S 0.470 0.286 0.534
S 0.476 0.707 0.256
S 0.476 0.793 0.756
S 0.524 0.207 0.244
S 0.524 0.293 0.744
S 0.530 0.714 0.466
S 0.530 0.786 0.966
S 0.540 0.728 0.581
S 0.540 0.772 0.081
S 0.593 0.055 0.277
S 0.593 0.445 0.777
S 0.601 0.576 0.456
S 0.601 0.924 0.956
S 0.614 0.055 0.588
S 0.614 0.445 0.088
S 0.642 0.193 0.762
S 0.642 0.307 0.262
S 0.658 0.561 0.180
S 0.658 0.939 0.680
S 0.661 0.008 0.501
S 0.661 0.492 0.001
S 0.686 0.694 0.136
S 0.686 0.806 0.636
S 0.707 0.157 0.882
S 0.707 0.343 0.382
S 0.720 0.032 0.149
S 0.720 0.468 0.649
S 0.738 0.057 0.267
S 0.738 0.443 0.767
S 0.762 0.604 0.490
S 0.762 0.896 0.990
S 0.765 0.169 0.113
S 0.765 0.331 0.613
S 0.773 0.702 0.871
S 0.773 0.798 0.371
S 0.796 0.642 0.390
S 0.796 0.858 0.890
S 0.823 0.046 0.530
S 0.823 0.454 0.030
S 0.858 0.215 0.915
S 0.858 0.285 0.415
S 0.901 0.592 0.044
S 0.901 0.908 0.544
S 0.912 0.629 0.936
S 0.912 0.871 0.436
S 0.924 0.155 0.125
S 0.924 0.345 0.625
S 0.928 0.093 0.780
S 0.928 0.407 0.280
S 0.949 0.670 0.740
S 0.949 0.830 0.240
S 0.951 0.097 0.898
S 0.951 0.403 0.398
S 0.988 0.676 0.258
S 0.988 0.824 0.758
CELL_PARAMETERS angstrom
13.339 0.000 0.000
0.000 12.938 0.000
-6.236 0.000 16.968
! **Volume**: 2928 Å³ per cell

c | ! S (meta-GGA r2SCAN, relaxed); values from VASP
&SYSTEM
  ibrav = 0, nat = 48, ntyp = 1
/
ATOMIC_SPECIES
S 32.06 S.upf
ATOMIC_POSITIONS crystal
S 0.040 0.000 0.446
S 0.048 0.332 0.884
S 0.050 0.270 0.057
S 0.057 0.792 0.664
S 0.071 0.820 0.485
S 0.151 0.572 0.254
S 0.152 0.486 0.887
S 0.175 0.134 0.088
S 0.203 0.090 0.452
S 0.228 0.793 0.756
S 0.240 0.172 0.616
S 0.255 0.674 0.151
S 0.257 0.962 0.831
S 0.263 0.465 0.367
S 0.282 0.843 0.228
S 0.293 0.548 0.531
S 0.322 0.440 0.845
S 0.335 0.204 0.171
S 0.357 0.065 0.725
S 0.430 0.815 0.503
S 0.439 0.419 0.999
S 0.450 0.238 0.044
S 0.451 0.843 0.325
S 0.458 0.635 0.543
S 0.542 0.135 0.457
S 0.549 0.343 0.675
S 0.550 0.738 0.956
S 0.561 0.919 0.001
S 0.570 0.315 0.497
S 0.643 0.565 0.275
S 0.665 0.704 0.829
S 0.678 0.940 0.155
S 0.707 0.048 0.469
S 0.718 0.343 0.772
S 0.737 0.965 0.633
S 0.743 0.462 0.169
S 0.745 0.174 0.849
S 0.760 0.672 0.384
S 0.772 0.293 0.244
S 0.797 0.590 0.548
S 0.825 0.634 0.912
S 0.848 0.986 0.113
S 0.849 0.072 0.746
S 0.929 0.320 0.515
S 0.943 0.292 0.336
S 0.950 0.770 0.943
S 0.952 0.832 0.116
S 0.960 0.500 0.554
CELL_PARAMETERS angstrom
11.053 0.000 0.000
0.000 10.988 0.000
-1.254 0.000 11.144
! **Volume**: 1354 Å³ per cell

c is preferred energetically. Next in line: 1.3 kJ/mol of atoms higher.

a | ! ScUS2 (meta-GGA r2SCAN, relaxed); values from VASP
&SYSTEM
  ibrav = 0, nat = 8, ntyp = 3
/
ATOMIC_SPECIES
Sc 44.96 Sc.upf
U 238.03 U.upf
S 32.06 S.upf
ATOMIC_POSITIONS crystal
Sc 0.375 0.625 0.750
Sc 0.625 0.375 0.250
U 0.125 0.875 0.250
U 0.875 0.125 0.750
S 0.134 0.384 0.750
S 0.384 0.134 0.250
S 0.616 0.866 0.750
S 0.866 0.616 0.250
CELL_PARAMETERS angstrom
-2.721 2.721 5.400
2.721 -2.721 5.400
2.721 2.721 -5.400
! **Volume**: 160 Å³ per cell

b | ! ScUS2 (meta-GGA r2SCAN, relaxed); values from VASP
&SYSTEM
  ibrav = 0, nat = 4, ntyp = 3
/
ATOMIC_SPECIES
Sc 44.96 Sc.upf
U 238.03 U.upf
S 32.06 S.upf
ATOMIC_POSITIONS crystal
Sc 0.000 0.000 0.000
U 0.500 0.500 0.500
S 0.000 0.000 0.500
S 0.500 0.500 0.000
CELL_PARAMETERS angstrom
3.844 0.000 0.000
0.000 3.844 0.000
0.000 0.000 5.403
! **Volume**: 80 Å³ per cell

a is preferred energetically. Next in line: 1.2 kJ/mol of atoms higher.